This record from the Materials Project database describes a geometry-optimized Na2Li3CoO4 structure. The functional is GGA+U.

Geometry as POSCAR:
```
Na2Li3CoO4
1.0
-2.716 -4.079 -4.424
6.154 -5.103 0.928
-4.089 -3.832 6.044
Na Li Co O
8 12 4 16
direct
0.000 0.259 0.749 Na
0.000 0.741 0.251 Na
0.500 0.759 0.751 Na
0.500 0.241 0.249 Na
0.744 0.500 0.000 Na
0.756 0.000 0.500 Na
0.256 0.500 0.000 Na
0.244 0.000 0.500 Na
0.755 0.486 0.350 Li
0.755 0.514 0.650 Li
0.745 0.986 0.150 Li
0.745 0.014 0.850 Li
0.245 0.514 0.650 Li
0.245 0.486 0.350 Li
0.255 0.014 0.850 Li
0.255 0.986 0.150 Li
0.000 0.264 0.407 Li
0.000 0.736 0.593 Li
0.500 0.764 0.093 Li
0.500 0.236 0.907 Li
0.000 0.776 0.882 Co
0.000 0.224 0.118 Co
0.500 0.276 0.618 Co
0.500 0.724 0.382 Co
0.000 0.562 0.779 O
0.000 0.438 0.221 O
0.500 0.062 0.721 O
0.500 0.938 0.279 O
0.753 0.803 0.985 O
0.753 0.197 0.015 O
0.747 0.303 0.515 O
0.747 0.697 0.485 O
0.247 0.197 0.015 O
0.247 0.803 0.985 O
0.253 0.697 0.485 O
0.253 0.303 0.515 O
0.000 0.954 0.726 O
0.000 0.046 0.274 O
0.500 0.454 0.774 O
0.500 0.546 0.226 O
```

Final energy ... -4.89 eV/atom
Magnetic moment ... 4.0 μB per formula unit
Symmetry ... Pnnm (58)



This record from the Materials Project database describes a geometry-optimized LiNbCoO4 structure. The functional is GGA+U.

Geometry as POSCAR:
```
LiNbCoO4
1.0
-0.790 5.543 2.283
-5.105 -1.938 2.937
4.843 -2.184 6.977
Li Nb Co O
4 4 4 16
direct
0.000 0.250 0.140 Li
0.500 0.750 0.640 Li
0.000 0.750 0.860 Li
0.500 0.250 0.360 Li
0.000 0.500 0.500 Nb
0.500 0.000 0.000 Nb
0.000 0.000 0.500 Nb
0.500 0.500 0.000 Nb
0.750 0.250 0.750 Co
0.750 0.750 0.250 Co
0.250 0.750 0.250 Co
0.250 0.250 0.750 Co
0.000 0.520 0.274 O
0.500 0.020 0.774 O
0.000 0.980 0.274 O
0.500 0.480 0.774 O
0.000 0.020 0.726 O
0.500 0.520 0.226 O
0.000 0.480 0.726 O
0.500 0.980 0.226 O
0.222 0.750 0.504 O
0.722 0.250 0.004 O
0.778 0.750 0.504 O
0.278 0.250 0.004 O
0.778 0.250 0.496 O
0.278 0.750 0.996 O
0.222 0.250 0.496 O
0.722 0.750 0.996 O
```

Final energy ... -7.31 eV/atom
Magnetic moment ... 0.0 μB per formula unit
Polymorph energy (0 for the lowest one) ... 62 meV per atom



This record from the Materials Project database describes a geometry-optimized Li5Nb2Co5O12 structure. The functional is GGA+U.

Geometry as POSCAR:
```
Li5Nb2Co5O12
1.0
-3.383 -3.469 2.046
0.339 0.763 -5.192
5.676 -8.113 -1.825
Li Nb Co O
5 2 5 12
direct
0.828 0.685 0.256 Li
0.677 0.821 0.742 Li
0.315 0.172 0.744 Li
0.179 0.323 0.258 Li
0.076 0.924 0.500 Li
0.744 0.256 0.500 Nb
0.257 0.743 0.000 Nb
0.924 0.076 0.000 Co
0.993 0.503 0.749 Co
0.497 0.007 0.251 Co
0.589 0.411 0.000 Co
0.414 0.586 0.500 Co
0.022 0.215 0.618 O
0.785 0.978 0.382 O
0.892 0.369 0.120 O
0.631 0.108 0.880 O
0.702 0.525 0.619 O
0.475 0.298 0.381 O
0.528 0.710 0.123 O
0.290 0.472 0.877 O
0.382 0.887 0.619 O
0.113 0.618 0.381 O
0.200 0.011 0.122 O
0.989 0.800 0.878 O
```

Final energy ... -6.57 eV/atom
Magnetic moment ... 14.0 μB per formula unit
Symmetry ... C2 (5)



This record from the Materials Project database describes a geometry-optimized Li4NbCo5O12 structure. The functional is GGA+U.

Geometry as POSCAR:
```
Li4NbCo5O12
1.0
4.339 2.533 0.000
-4.339 2.533 0.000
0.000 1.145 9.945
Li Nb Co O
4 1 5 12
direct
0.456 0.795 0.724 Li
0.205 0.544 0.276 Li
0.795 0.456 0.724 Li
0.544 0.205 0.276 Li
0.000 0.000 0.000 Nb
0.165 0.835 0.500 Co
0.667 0.333 0.000 Co
0.333 0.667 0.000 Co
0.835 0.165 0.500 Co
0.500 0.500 0.500 Co
0.324 0.980 0.106 O
0.020 0.676 0.894 O
0.492 0.846 0.390 O
0.846 0.492 0.390 O
0.154 0.508 0.610 O
0.802 0.802 0.600 O
0.508 0.154 0.610 O
0.980 0.324 0.106 O
0.631 0.631 0.104 O
0.676 0.020 0.894 O
0.369 0.369 0.896 O
0.198 0.198 0.400 O
```

Final energy ... -6.16 eV/atom
Magnetic moment ... 0.0 μB per formula unit
Symmetry ... C2/m (12)



This record from the Materials Project database describes a geometry-optimized Li2NbCo3O8 structure. The functional is GGA+U.

Geometry as POSCAR:
```
Li2NbCo3O8
1.0
8.232 0.000 0.000
0.000 8.232 0.000
0.000 0.000 8.232
Li Nb Co O
8 4 12 32
direct
0.992 0.992 0.992 Li
0.258 0.258 0.258 Li
0.242 0.742 0.758 Li
0.508 0.008 0.492 Li
0.492 0.508 0.008 Li
0.758 0.242 0.742 Li
0.742 0.758 0.242 Li
0.008 0.492 0.508 Li
0.125 0.875 0.375 Nb
0.375 0.125 0.875 Nb
0.625 0.625 0.625 Nb
0.875 0.375 0.125 Nb
0.122 0.128 0.625 Co
0.125 0.378 0.872 Co
0.128 0.625 0.122 Co
0.372 0.375 0.622 Co
0.375 0.622 0.372 Co
0.378 0.872 0.125 Co
0.622 0.372 0.375 Co
0.625 0.122 0.128 Co
0.628 0.875 0.878 Co
0.872 0.125 0.378 Co
0.875 0.878 0.628 Co
0.878 0.628 0.875 Co
0.112 0.120 0.388 O
0.112 0.888 0.620 O
0.109 0.609 0.891 O
0.130 0.138 0.862 O
0.120 0.388 0.112 O
0.141 0.359 0.641 O
0.138 0.630 0.362 O
0.138 0.862 0.130 O
0.362 0.138 0.630 O
0.362 0.370 0.862 O
0.359 0.641 0.141 O
0.380 0.612 0.612 O
0.370 0.862 0.362 O
0.391 0.391 0.391 O
0.388 0.112 0.120 O
0.388 0.880 0.888 O
0.612 0.380 0.612 O
0.612 0.612 0.380 O
0.609 0.891 0.109 O
0.630 0.362 0.138 O
0.620 0.112 0.888 O
0.641 0.141 0.359 O
0.638 0.870 0.638 O
0.638 0.638 0.870 O
0.862 0.362 0.370 O
0.862 0.130 0.138 O
0.859 0.859 0.859 O
0.880 0.888 0.388 O
0.870 0.638 0.638 O
0.891 0.109 0.609 O
0.888 0.388 0.880 O
0.888 0.620 0.112 O
```

Final energy ... -6.56 eV/atom
Magnetic moment ... 0.0 μB per formula unit
Symmetry ... P4_332 (212)
Polymorph energy (0 for the lowest one) ... 4 meV per atom



This record from the Materials Project database describes a geometry-optimized LiNbCoO4 structure. The functional is GGA+U.

Geometry as POSCAR:
```
LiNbCoO4
1.0
-4.403 4.142 -1.228
-1.645 -3.230 -4.993
-5.502 -4.456 4.696
Li Nb Co O
4 4 4 16
direct
0.000 0.221 0.000 Li
0.000 0.779 0.500 Li
0.221 0.000 0.250 Li
0.779 0.000 0.750 Li
0.214 0.500 0.250 Nb
0.500 0.214 0.000 Nb
0.500 0.787 0.500 Nb
0.786 0.500 0.750 Nb
0.741 0.259 0.375 Co
0.741 0.741 0.125 Co
0.259 0.259 0.625 Co
0.259 0.741 0.875 Co
0.016 0.264 0.254 O
0.016 0.736 0.246 O
0.264 0.016 0.996 O
0.264 0.984 0.504 O
0.736 0.016 0.004 O
0.736 0.984 0.496 O
0.984 0.264 0.746 O
0.984 0.736 0.754 O
0.265 0.482 0.016 O
0.265 0.518 0.484 O
0.482 0.265 0.234 O
0.482 0.735 0.266 O
0.518 0.265 0.766 O
0.518 0.735 0.734 O
0.735 0.518 0.516 O
0.735 0.482 0.984 O
```

Final energy ... -7.37 eV/atom
Magnetic moment ... 0.0 μB per formula unit
Symmetry ... P4_322 (95)
Polymorph energy (0 for the lowest one) ... 0 meV per atom



This record from the Materials Project database describes a geometry-optimized Li2NbCo3O8 structure. The functional is GGA+U.

Geometry as POSCAR:
```
Li2NbCo3O8
1.0
2.890 -5.005 0.000
2.890 5.005 0.000
0.000 0.000 9.407
Li Nb Co O
4 2 6 16
direct
0.333 0.667 0.896 Li
0.000 0.000 0.996 Li
0.000 0.000 0.496 Li
0.667 0.333 0.396 Li
0.333 0.667 0.496 Nb
0.667 0.333 0.996 Nb
0.170 0.830 0.216 Co
0.170 0.340 0.216 Co
0.660 0.830 0.216 Co
0.340 0.170 0.716 Co
0.830 0.660 0.716 Co
0.830 0.170 0.716 Co
0.165 0.835 0.600 O
0.038 0.519 0.334 O
0.333 0.667 0.112 O
0.000 0.000 0.308 O
0.000 0.000 0.808 O
0.165 0.330 0.600 O
0.481 0.962 0.334 O
0.481 0.519 0.334 O
0.330 0.165 0.100 O
0.670 0.835 0.600 O
0.519 0.481 0.834 O
0.519 0.038 0.834 O
0.667 0.333 0.612 O
0.835 0.670 0.100 O
0.962 0.481 0.834 O
0.835 0.165 0.100 O
```

Final energy ... -6.57 eV/atom
Magnetic moment ... 0.0 μB per formula unit
Symmetry ... P6_3mc (186)
Polymorph energy (0 for the lowest one) ... 0 meV per atom



This record from the Materials Project database describes a geometry-optimized Li4NbCo3O8 structure. The functional is GGA+U.

Geometry as POSCAR:
```
Li4NbCo3O8
1.0
-1.705 5.756 -0.027
3.495 1.019 7.721
5.200 1.582 -2.581
Li Nb Co O
8 2 6 16
direct
0.000 0.500 0.000 Li
0.500 0.000 0.500 Li
0.750 0.750 0.750 Li
0.250 0.250 0.250 Li
0.250 0.750 0.750 Li
0.750 0.250 0.250 Li
0.500 0.498 0.000 Li
0.000 0.002 0.500 Li
0.498 0.501 0.499 Nb
0.002 0.999 0.001 Nb
0.250 0.750 0.250 Co
0.750 0.250 0.750 Co
0.750 0.750 0.250 Co
0.250 0.250 0.750 Co
0.502 0.001 0.998 Co
0.998 0.499 0.502 Co
0.481 0.759 0.037 O
0.983 0.257 0.530 O
0.019 0.741 0.463 O
0.517 0.243 0.970 O
0.241 0.000 0.762 O
0.741 0.502 0.261 O
0.259 0.500 0.738 O
0.759 0.998 0.239 O
0.765 0.000 0.758 O
0.265 0.498 0.259 O
0.504 0.262 0.498 O
0.001 0.762 0.994 O
0.735 0.500 0.742 O
0.235 0.002 0.241 O
0.499 0.738 0.506 O
0.996 0.238 0.002 O
```

Final energy ... -6.32 eV/atom
Magnetic moment ... 6.0 μB per formula unit
Symmetry ... P-1 (2)
Polymorph energy (0 for the lowest one) ... 2 meV per atom



This record from the Materials Project database describes a geometry-optimized Li4NbCo3O8 structure. The functional is GGA+U.

Geometry as POSCAR:
```
Li4NbCo3O8
1.0
-0.402 2.644 4.381
-4.940 -2.503 1.061
3.101 -4.772 3.219
Li Nb Co O
4 1 3 8
direct
0.993 0.908 0.390 Li
0.499 0.579 0.863 Li
0.993 0.440 0.125 Li
0.499 0.093 0.624 Li
0.505 0.084 0.124 Nb
0.989 0.908 0.855 Co
0.504 0.574 0.390 Co
0.994 0.414 0.628 Co
0.382 0.928 0.890 O
0.390 0.919 0.359 O
0.884 0.582 0.864 O
0.882 0.575 0.389 O
0.363 0.417 0.626 O
0.391 0.402 0.129 O
0.886 0.097 0.623 O
0.872 0.080 0.122 O
```

Final energy ... -6.31 eV/atom
Magnetic moment ... 4.0 μB per formula unit
Symmetry ... P1 (1)
Polymorph energy (0 for the lowest one) ... 11 meV per atom



This record from the Materials Project database describes a geometry-optimized LiNbCoO4 structure. The functional is GGA+U.

Geometry as POSCAR:
```
LiNbCoO4
1.0
6.095 0.000 0.000
0.000 6.095 0.000
0.000 0.000 8.661
Li Nb Co O
4 4 4 16
direct
0.000 0.238 0.000 Li
0.000 0.762 0.500 Li
0.238 0.000 0.250 Li
0.762 0.000 0.750 Li
0.252 0.252 0.625 Nb
0.252 0.748 0.875 Nb
0.748 0.252 0.375 Nb
0.748 0.748 0.125 Nb
0.247 0.500 0.250 Co
0.500 0.247 0.000 Co
0.500 0.753 0.500 Co
0.753 0.500 0.750 Co
0.003 0.256 0.254 O
0.003 0.744 0.246 O
0.256 0.003 0.996 O
0.256 0.997 0.504 O
0.255 0.498 0.006 O
0.255 0.502 0.494 O
0.498 0.255 0.244 O
0.498 0.745 0.256 O
0.502 0.255 0.756 O
0.502 0.745 0.744 O
0.745 0.502 0.506 O
0.745 0.498 0.994 O
0.744 0.003 0.004 O
0.744 0.997 0.496 O
0.997 0.256 0.746 O
0.997 0.744 0.754 O
```

Final energy ... -7.34 eV/atom
Magnetic moment ... 3.0 μB per formula unit
Symmetry ... P4_322 (95)
Polymorph energy (0 for the lowest one) ... 30 meV per atom



This record from the Materials Project database describes a geometry-optimized Li4NbCo3O8 structure. The functional is GGA+U.

Geometry as POSCAR:
```
Li4NbCo3O8
1.0
0.089 -2.345 5.561
-2.318 3.106 4.595
-8.002 -4.420 -4.980
Li Nb Co O
8 2 6 16
direct
0.750 0.751 0.250 Li
0.250 0.249 0.750 Li
0.752 0.750 0.747 Li
0.248 0.250 0.253 Li
0.748 0.254 0.752 Li
0.252 0.746 0.248 Li
0.749 0.252 0.250 Li
0.251 0.748 0.750 Li
0.000 0.000 0.000 Nb
0.500 0.500 0.500 Nb
0.500 0.500 0.000 Co
0.000 0.000 0.500 Co
0.500 0.000 0.500 Co
0.500 0.000 0.000 Co
0.000 0.500 0.500 Co
0.000 0.500 0.000 Co
0.620 0.620 0.898 O
0.121 0.157 0.398 O
0.879 0.843 0.602 O
0.380 0.380 0.102 O
0.621 0.616 0.380 O
0.120 0.120 0.881 O
0.620 0.140 0.380 O
0.120 0.643 0.879 O
0.645 0.119 0.878 O
0.146 0.615 0.378 O
0.880 0.880 0.119 O
0.379 0.384 0.620 O
0.880 0.357 0.121 O
0.380 0.860 0.620 O
0.854 0.385 0.622 O
0.355 0.881 0.122 O
```

Final energy ... -6.32 eV/atom
Magnetic moment ... 0.0 μB per formula unit
Symmetry ... P-1 (2)
Polymorph energy (0 for the lowest one) ... 0 meV per atom



This record from the Materials Project database describes a geometry-optimized Li4NbCo3O8 structure. The functional is GGA+U.

Geometry as POSCAR:
```
Li4NbCo3O8
1.0
5.210 -2.991 0.000
5.210 2.991 0.000
3.494 0.000 4.887
Li Nb Co O
4 1 3 8
direct
0.500 0.500 0.500 Li
0.500 0.000 0.000 Li
0.000 0.000 0.500 Li
0.000 0.500 0.000 Li
0.000 0.000 0.000 Nb
0.000 0.500 0.500 Co
0.500 0.500 0.000 Co
0.500 0.000 0.500 Co
0.734 0.734 0.734 O
0.764 0.240 0.240 O
0.240 0.240 0.764 O
0.266 0.266 0.266 O
0.240 0.764 0.240 O
0.236 0.760 0.760 O
0.760 0.760 0.236 O
0.760 0.236 0.760 O
```

Final energy ... -6.30 eV/atom
Magnetic moment ... 10.0 μB per formula unit
Symmetry ... R-3m (166)
Polymorph energy (0 for the lowest one) ... 22 meV per atom



These records have formation energy from the elements values of -1.80 -2.38 -2.06 -1.79 -1.96 -2.44 -1.97 -2.05 -2.04 -2.41 -2.06 -2.03 eV per atom, in the order they appear.